## ZnCoO2 (GGA+U)

Data for an optimized crystal structure of ZnCoO2.

```
ZnCoO2
1.0
-2.348 4.794 0.232
2.353 -1.252 5.531
5.987 0.740 1.142
O Co Zn
8 4 4
Direct
0.763 0.126 0.125 O
0.263 0.875 0.376 O
0.737 0.624 0.125 O
0.237 0.375 0.374 O
0.763 0.626 0.625 O
0.237 0.875 0.874 O
0.263 0.375 0.876 O
0.737 0.124 0.625 O
0.500 0.750 0.750 Co
0.500 0.250 0.250 Co
0.000 0.000 0.500 Co
0.000 0.500 0.000 Co
0.500 0.250 0.750 Zn
0.500 0.750 0.250 Zn
0.000 0.500 0.500 Zn
0.000 0.000 0.000 Zn
```

Total magnetic moment ... 0.750 μB per atom
ΔH_f (0 K) ... -1.43 eV/atom
Raw total energy ... -83.86 eV for the cell shown